(1)
Material: Pu2Se3
Method: DFT, PBE
State: optimized geometry

Output
The total magnetization comes out at 0.1 μB/f.u. As for the space group: I-42d. The energy above the most stable polymorph in this dataset is 87 meV/atom. The value obtained for the total energy is -9.255 eV/atom. The calculation puts the volume at 24.9 Å³/atom. For the energy of formation, the calculation gives -8.666 eV per formula unit.

a b c (Å): 14.5290 14.5290 14.5290
angles (deg): 145.14 145.14 50.12
Fractional positions:
1 Pu 0.0442 0.4215 0.8864
2 Pu 0.1661 0.1661 0.0000
3 Pu 0.1715 0.2942 0.3864
4 Pu 0.2148 0.8285 0.1226
5 Pu 0.2541 0.1250 0.6291
6 Pu 0.3750 0.7459 0.8709
7 Pu 0.4959 0.6250 0.3709
8 Pu 0.5352 0.1578 0.1136
9 Pu 0.5785 0.4648 0.6226
10 Pu 0.5839 0.0839 0.5000
11 Pu 0.7058 0.0922 0.8774
12 Pu 0.8339 0.8339 0.0000
13 Pu 0.8422 0.9558 0.3774
14 Pu 0.8750 0.5041 0.1291
15 Pu 0.9078 0.7852 0.6136
16 Pu 0.9161 0.4161 0.5000
17 Se 0.0088 0.1062 0.2490
18 Se 0.0717 0.8256 0.6028
19 Se 0.1744 0.7771 0.2461
20 Se 0.1880 0.0939 0.7499
21 Se 0.1881 0.5940 0.7501
22 Se 0.2189 0.4729 0.8972
23 Se 0.2229 0.4689 0.3972
24 Se 0.2402 0.9912 0.0974
25 Se 0.3440 0.4381 0.2501
26 Se 0.4060 0.1561 0.5941
27 Se 0.5098 0.1072 0.2510
28 Se 0.5271 0.4244 0.7461
29 Se 0.5311 0.9283 0.7539
30 Se 0.5620 0.8119 0.4059
31 Se 0.5619 0.8120 0.9059
32 Se 0.5756 0.3217 0.1028
33 Se 0.6783 0.7811 0.2539
34 Se 0.7412 0.4902 0.5974
35 Se 0.8439 0.4380 0.2499
36 Se 0.8562 0.2588 0.7490
37 Se 0.8572 0.7598 0.7510
38 Se 0.8928 0.1438 0.4026
39 Se 0.8938 0.1428 0.9026
40 Se 0.9061 0.6560 0.0941



(2)
Material: B
Method: DFT, PBE
State: optimized geometry

Output
The total magnetization comes out at 0.0 μB/f.u. As for the space group: P4_2/nnm. The energy above the most stable polymorph in this dataset is 155 meV/atom. The value obtained for the total energy is -6.524 eV/atom. The calculation puts the volume at 7.8 Å³/atom. For the energy of formation, the calculation gives 0.155 eV per formula unit.

a b c (Å): 8.6749 8.6749 4.9721
angles (deg): 90.00 90.00 90.00
Fractional positions:
1 B 0.0058 0.5058 0.1733
2 B 0.0058 0.9942 0.3267
3 B 0.0228 0.6670 0.6614
4 B 0.0228 0.8330 0.8386
5 B 0.0792 0.1660 0.8436
6 B 0.0792 0.3340 0.6564
7 B 0.1249 0.6249 0.3672
8 B 0.1249 0.8751 0.1328
9 B 0.1660 0.0792 0.1564
10 B 0.1660 0.4208 0.3436
11 B 0.1670 0.5228 0.6614
12 B 0.1670 0.9772 0.8386
13 B 0.3330 0.5228 0.8386
14 B 0.3330 0.9772 0.6614
15 B 0.3340 0.0792 0.3436
16 B 0.3340 0.4208 0.1564
17 B 0.3751 0.6249 0.1328
18 B 0.3751 0.8751 0.3672
19 B 0.4208 0.1660 0.6564
20 B 0.4208 0.3340 0.8436
21 B 0.4772 0.6670 0.8386
22 B 0.4772 0.8330 0.6614
23 B 0.4942 0.5058 0.3267
24 B 0.4942 0.9942 0.1733
25 B 0.5058 0.0058 0.8267
26 B 0.5058 0.4942 0.6733
27 B 0.5228 0.1670 0.3386
28 B 0.5228 0.3330 0.1614
29 B 0.5792 0.6660 0.1564
30 B 0.5792 0.8340 0.3436
31 B 0.6249 0.1249 0.6328
32 B 0.6249 0.3751 0.8672
33 B 0.6660 0.5792 0.8436
34 B 0.6660 0.9208 0.6564
35 B 0.6670 0.0228 0.3386
36 B 0.6670 0.4772 0.1614
37 B 0.8330 0.0228 0.1614
38 B 0.8330 0.4772 0.3386
39 B 0.8340 0.5792 0.6564
40 B 0.8340 0.9208 0.8436
41 B 0.8751 0.1249 0.8672
42 B 0.8751 0.3751 0.6328
43 B 0.9208 0.6660 0.3436
44 B 0.9208 0.8340 0.1564
45 B 0.9772 0.1670 0.1614
46 B 0.9772 0.3330 0.3386
47 B 0.9942 0.0058 0.6733
48 B 0.9942 0.4942 0.8267



(3)
Material: MoN2Cl6
Method: DFT, PBE
State: optimized geometry

Output
The total magnetization comes out at 6.0 μB/f.u. As for the space group: Fm-3m. The value obtained for the total energy is -3.706 eV/atom. The calculation puts the volume at 29.7 Å³/atom. For the energy of formation, the calculation gives 1.568 eV per formula unit.

a b c (Å): 7.2294 7.2294 7.2294
angles (deg): 60.00 60.00 60.00
Fractional positions:
1 Mo 0.0000 0.0000 0.0000
2 N 0.2500 0.2500 0.2500
3 N 0.7500 0.7500 0.7500
4 Cl 0.2263 0.2263 0.7737
5 Cl 0.2263 0.7737 0.2263
6 Cl 0.2263 0.7737 0.7737
7 Cl 0.7737 0.2263 0.2263
8 Cl 0.7737 0.2263 0.7737
9 Cl 0.7737 0.7737 0.2263



(4)
Material: Ho3Cu4Sn4
Method: DFT, PBE
State: optimized geometry

Output
As for the space group: Immm. The value obtained for the total energy is -4.697 eV/atom. The calculation puts the volume at 20.7 Å³/atom. For the energy of formation, the calculation gives -5.481 eV per formula unit.

a b c (Å): 8.4150 8.4150 8.4150
angles (deg): 149.23 131.32 58.70
Fractional positions:
1 Ho 0.0000 0.0000 0.0000
2 Ho 0.3691 0.8691 0.5000
3 Ho 0.6309 0.1309 0.5000
4 Cu 0.0172 0.3285 0.6887
5 Cu 0.3602 0.6715 0.6887
6 Cu 0.6398 0.3285 0.3113
7 Cu 0.9828 0.6715 0.3113
8 Sn 0.2158 0.2158 0.0000
9 Sn 0.2969 0.5000 0.7969
10 Sn 0.7031 0.5000 0.2031
11 Sn 0.7842 0.7842 0.0000



(5)
Material: Ba3LaIrRuO9
Method: DFT, PBE
State: optimized geometry

Output
The total magnetization comes out at 2.0 μB/f.u. As for the space group: P6_3mc. The value obtained for the total energy is -7.018 eV/atom. The calculation puts the volume at 15.9 Å³/atom. For the energy of formation, the calculation gives -38.113 eV per formula unit.

a b c (Å): 6.0048 6.0048 15.2290
angles (deg): 90.00 90.00 120.00
Fractional positions:
1 Ba 0.0000 0.0000 0.0000
2 Ba 0.0000 0.0000 0.5000
3 Ba 0.3333 0.6667 0.1445
4 Ba 0.3333 0.6667 0.8564
5 Ba 0.6667 0.3333 0.3564
6 Ba 0.6667 0.3333 0.6445
7 La 0.0000 0.0000 0.2512
8 La 0.0000 0.0000 0.7512
9 Ir 0.3333 0.6667 0.4184
10 Ir 0.6667 0.3333 0.9184
11 Ru 0.3333 0.6667 0.5840
12 Ru 0.6667 0.3333 0.0840
13 O 0.0181 0.5090 0.5004
14 O 0.1780 0.3559 0.3438
15 O 0.1780 0.3561 0.6555
16 O 0.1780 0.8220 0.3438
17 O 0.1780 0.8220 0.6555
18 O 0.3561 0.1780 0.1555
19 O 0.3559 0.1780 0.8438
20 O 0.4910 0.5090 0.5004
21 O 0.4910 0.9819 0.5004
22 O 0.5090 0.0181 0.0004
23 O 0.5090 0.4910 0.0004
24 O 0.6441 0.8220 0.3438
25 O 0.6439 0.8220 0.6555
26 O 0.8220 0.1780 0.1555
27 O 0.8220 0.1780 0.8438
28 O 0.8220 0.6439 0.1555
29 O 0.8220 0.6441 0.8438
30 O 0.9819 0.4910 0.0004



(6)
Material: Nd4GaSbS9
Method: DFT, PBE
State: optimized geometry

Output
The total magnetization comes out at 0.0 μB/f.u. As for the space group: Aea2. The value obtained for the total energy is -5.768 eV/atom. The calculation puts the volume at 23.9 Å³/atom. For the energy of formation, the calculation gives -27.593 eV per formula unit.

a b c (Å): 13.8561 10.1815 10.1815
angles (deg): 89.13 90.00 90.00
Fractional positions:
1 Nd 0.1012 0.1719 0.8281
2 Nd 0.1040 0.5549 0.3305
3 Nd 0.1797 0.8811 0.5497
4 Nd 0.1850 0.8787 0.0965
5 Nd 0.3150 0.3787 0.5965
6 Nd 0.3203 0.3811 0.0497
7 Nd 0.3960 0.0549 0.8305
8 Nd 0.3988 0.6719 0.3281
9 Nd 0.6012 0.3281 0.6719
10 Nd 0.6040 0.8305 0.0549
11 Nd 0.6797 0.0497 0.3811
12 Nd 0.6850 0.5965 0.3787
13 Nd 0.8150 0.0965 0.8787
14 Nd 0.8203 0.5497 0.8811
15 Nd 0.8960 0.3305 0.5549
16 Nd 0.8988 0.8281 0.1719
17 Ga 0.0929 0.6223 0.8307
18 Ga 0.4071 0.1223 0.3307
19 Ga 0.5929 0.3307 0.1223
20 Ga 0.9071 0.8307 0.6223
21 Sb 0.1129 0.1813 0.3365
22 Sb 0.3871 0.6813 0.8365
23 Sb 0.6129 0.8365 0.6813
24 Sb 0.8871 0.3365 0.1813
25 S 0.0000 0.0052 0.0052
26 S 0.0000 0.6382 0.6382
27 S 0.0033 0.0150 0.6273
28 S 0.0683 0.8256 0.3210
29 S 0.0793 0.3378 0.1529
30 S 0.1002 0.3402 0.5184
31 S 0.1899 0.4355 0.8272
32 S 0.2002 0.7979 0.8239
33 S 0.2477 0.6163 0.1472
34 S 0.2502 0.1248 0.0093
35 S 0.2498 0.6248 0.5093
36 S 0.2523 0.1163 0.6472
37 S 0.2998 0.2979 0.3239
38 S 0.3101 0.9355 0.3272
39 S 0.3998 0.8402 0.0184
40 S 0.4207 0.8378 0.6529
41 S 0.4317 0.3256 0.8210
42 S 0.4967 0.5150 0.1273
43 S 0.5000 0.1382 0.1382
44 S 0.5000 0.5052 0.5052
45 S 0.5033 0.1273 0.5150
46 S 0.5683 0.8210 0.3256
47 S 0.5793 0.6529 0.8378
48 S 0.6002 0.0184 0.8402
49 S 0.6899 0.3272 0.9355
50 S 0.7002 0.3239 0.2979
51 S 0.7477 0.6472 0.1163
52 S 0.7498 0.0093 0.1248
53 S 0.7502 0.5093 0.6248
54 S 0.7523 0.1472 0.6163
55 S 0.7998 0.8239 0.7979
56 S 0.8101 0.8272 0.4355
57 S 0.8998 0.5184 0.3402
58 S 0.9207 0.1529 0.3378
59 S 0.9317 0.3210 0.8256
60 S 0.9967 0.6273 0.0150